## MgCo4Ni2O8 (PBE with a Hubbard U)

Data for a relaxed structure of MgCo4Ni2O8.

Properties
calculated formation energy	-900	meV per atom
E above lowest polymorph	385	meV/atom
spin magnetization	8.25	μB/f.u.
calculated density	4.75	g cm⁻³

Cell: 6.683 5.792 6.683 Å, 64.32 51.17 64.32°
Atoms (fractional coordinates):
O1 0.709 0.770 0.251
O2 0.251 0.770 0.709
O3 0.769 0.251 0.769
O4 0.258 0.726 0.258
O5 0.769 0.710 0.769
O6 0.258 0.258 0.258
O7 0.251 0.261 0.728
O8 0.728 0.261 0.251
Co1 0.455 0.534 0.455
Co2 0.455 0.055 0.455
Co3 0.128 0.122 0.128
Co4 0.874 0.876 0.874
Mg1 0.627 0.623 0.627
Ni1 0.059 0.453 0.535
Ni2 0.535 0.453 0.059